[1]
{"formula": "Pb4Se3S", "functional": "GGA-PBE", "state": "relaxed", "formation_energy_mev_per_atom": -610, "lattice_angstrom": [[-0.849, 1.847, -3.857], [-4.247, 0.098, 0.982], [1.427, 11.200, 5.049]], "species": ["Pb", "Pb", "Pb", "Pb", "Se", "Se", "Se", "S"], "fractional_positions": [[0.000, 0.000, 0.254], [0.500, 0.500, 0.000], [0.000, 0.000, 0.746], [0.500, 0.500, 0.500], [0.500, 0.500, 0.250], [0.000, 0.000, 0.000], [0.500, 0.500, 0.750], [0.000, 0.000, 0.500]]}


[2]
{"formula": "SiPb2S4", "functional": "GGA-PBE", "state": "relaxed", "formation_energy_mev_per_atom": -901, "lattice_angstrom": [[6.815, 0.000, 0.000], [0.000, 6.699, 0.000], [0.000, 5.284, 16.136]], "species": ["Si", "Si", "Si", "Si", "Pb", "Pb", "Pb", "Pb", "Pb", "Pb", "Pb", "Pb", "S", "S", "S", "S", "S", "S", "S", "S", "S", "S", "S", "S", "S", "S", "S", "S"], "fractional_positions": [[0.754, 0.214, 0.102], [0.246, 0.786, 0.898], [0.254, 0.786, 0.398], [0.746, 0.214, 0.602], [0.736, 0.757, 0.020], [0.764, 0.757, 0.520], [0.328, 0.256, 0.716], [0.672, 0.744, 0.284], [0.172, 0.256, 0.216], [0.264, 0.243, 0.980], [0.828, 0.744, 0.784], [0.236, 0.243, 0.480], [0.503, 0.989, 0.373], [0.266, 0.617, 0.026], [0.717, 0.420, 0.676], [0.496, 0.988, 0.864], [0.783, 0.420, 0.176], [0.734, 0.383, 0.974], [0.996, 0.012, 0.636], [0.497, 0.011, 0.627], [0.234, 0.617, 0.526], [0.004, 0.988, 0.364], [0.003, 0.011, 0.127], [0.217, 0.580, 0.824], [0.997, 0.989, 0.873], [0.766, 0.383, 0.474], [0.283, 0.580, 0.324], [0.504, 0.012, 0.136]]}